Record 1
Below is a relaxed Al3Ga3Ni10 crystal, with properties calculated at the r²SCAN level.

Values from the calculation:
Crystal system = monoclinic
Magnetization = 0.0 μB/cell
Total energy = -181.8 eV for the cell shown

abc: 4.977 3.697 9.957
angles: 90.00 96.14 90.00
Fractional coordinates of all 16 atoms:
Al: 0.000 0.000 0.000
Al: 0.000 0.000 0.498
Al: 0.441 0.000 0.279
Ga: 0.439 0.000 0.780
Ga: 0.721 0.500 0.139
Ga: 0.724 0.500 0.637
Ni: 0.218 0.500 0.890
Ni: 0.220 0.500 0.389
Ni: 0.221 0.500 0.139
Ni: 0.222 0.500 0.639
Ni: 0.494 0.000 0.027
Ni: 0.494 0.000 0.525
Ni: 0.719 0.500 0.388
Ni: 0.721 0.500 0.889
Ni: 0.946 0.000 0.752
Ni: 0.947 0.000 0.252

***

Record 2
Below is a relaxed AlGaNi6 crystal, with properties calculated at the r²SCAN level.

Values from the calculation:
Crystal system = tetragonal
Magnetization = 1.9 μB/cell
Total energy = -92.9 eV for the cell shown

abc: 3.532 3.532 7.061
angles: 90.00 90.00 90.00
Fractional coordinates of all 8 atoms:
Al: 0.000 0.000 0.000
Ga: 0.000 0.000 0.500
Ni: 0.000 0.500 0.249
Ni: 0.000 0.500 0.751
Ni: 0.500 0.000 0.249
Ni: 0.500 0.000 0.751
Ni: 0.500 0.500 0.000
Ni: 0.500 0.500 0.500

***

Record 3
Below is a relaxed Pm2AlGa crystal, with properties calculated at the r²SCAN level.

Values from the calculation:
Crystal system = cubic
Magnetization = 0.0 μB/cell
Total energy = -317.3 eV for the cell shown

abc: 7.353 7.353 7.353
angles: 90.00 90.00 90.00
Fractional coordinates of all 16 atoms:
Pm: 0.250 0.250 0.250
Pm: 0.250 0.250 0.750
Pm: 0.250 0.750 0.250
Pm: 0.250 0.750 0.750
Pm: 0.750 0.250 0.250
Pm: 0.750 0.250 0.750
Pm: 0.750 0.750 0.250
Pm: 0.750 0.750 0.750
Al: 0.000 0.000 0.000
Al: 0.000 0.500 0.500
Al: 0.500 0.000 0.500
Al: 0.500 0.500 0.000
Ga: 0.000 0.000 0.500
Ga: 0.000 0.500 0.000
Ga: 0.500 0.000 0.000
Ga: 0.500 0.500 0.500

***

Record 4
Below is a relaxed PuAl2Ga2 crystal, with properties calculated at the r²SCAN level.

Values from the calculation:
Crystal system = orthorhombic
Magnetization = 10.7 μB/cell
Total energy = -249.3 eV for the cell shown

abc: 7.822 7.822 7.822
angles: 148.00 132.58 58.35
Fractional coordinates of all 10 atoms:
Pu: 0.366 0.116 0.250
Pu: 0.634 0.884 0.750
Al: 0.000 0.500 0.500
Al: 0.143 0.893 0.250
Al: 0.500 0.500 0.000
Al: 0.857 0.107 0.750
Ga: 0.160 0.698 0.462
Ga: 0.264 0.302 0.962
Ga: 0.736 0.698 0.038
Ga: 0.840 0.302 0.538